No. 1
# Mo8P9H56N12ClO56 | the Materials Project database | PBE+U | optimized geometry
data_Mo8P9H56N12ClO56
_cell_length_a 9.822
_cell_length_b 9.822
_cell_length_c 14.842
_cell_angle_alpha 90.00
_cell_angle_beta 90.00
_cell_angle_gamma 90.00
_symmetry_space_group_name_H-M 'P -4'
_symmetry_Int_Tables_number 81
_symmetry_space_group_name_Hall 'P -4'
loop_
_atom_site_label
_atom_site_type_symbol
_atom_site_fract_x
_atom_site_fract_y
_atom_site_fract_z
Mo1 Mo 0.124 0.352 0.193
Mo2 Mo 0.144 0.370 0.838
P1 P 0.141 0.650 0.700
P2 P 0.178 0.648 0.309
P3 P 0.500 0.500 0.500
H1 H 0.001 0.087 0.297
H2 H 0.002 0.086 0.783
H3 H 0.011 0.354 0.520
H4 H 0.047 0.311 0.412
H5 H 0.106 0.633 0.948
H6 H 0.112 0.221 0.499
H7 H 0.123 0.760 0.025
H8 H 0.168 0.599 0.050
H9 H 0.170 0.380 0.477
H10 H 0.250 0.569 0.579
H11 H 0.264 0.687 0.978
H12 H 0.327 0.665 0.419
H13 H 0.414 0.488 0.202
H14 H 0.415 0.490 0.718
N1 N 0.000 0.000 0.257
N2 N 0.086 0.318 0.477
N3 N 0.165 0.671 0.000
N4 N 0.500 0.500 0.242
Cl1 Cl 0.000 0.000 0.500
O1 O 0.000 0.500 0.165
O2 O 0.000 0.500 0.872
O3 O 0.010 0.331 0.715
O4 O 0.031 0.703 0.302
O5 O 0.052 0.235 0.120
O6 O 0.070 0.224 0.884
O7 O 0.163 0.624 0.595
O8 O 0.187 0.493 0.303
O9 O 0.209 0.533 0.751
O10 O 0.216 0.218 0.276
O11 O 0.227 0.693 0.405
O12 O 0.258 0.420 0.921
O13 O 0.269 0.403 0.134
O14 O 0.270 0.715 0.236
O15 O 0.370 0.473 0.558
# energy of formation = -1470.4 meV/atom
# total magnetic moment = 0.08 Bohr magnetons per cell


No. 2
# Mo6H20Cl14O9 | the Materials Project database | PBE+U | optimized geometry
data_Mo6H20Cl14O9
_cell_length_a 17.430
_cell_length_b 9.734
_cell_length_c 19.863
_cell_angle_alpha 90.00
_cell_angle_beta 97.39
_cell_angle_gamma 90.00
_symmetry_space_group_name_H-M 'C 1 2/c 1'
_symmetry_Int_Tables_number 15
_symmetry_space_group_name_Hall '-C 2yc'
loop_
_atom_site_label
_atom_site_type_symbol
_atom_site_fract_x
_atom_site_fract_y
_atom_site_fract_z
Mo1 Mo 0.140 0.241 0.493
Mo2 Mo 0.237 0.135 0.395
Mo3 Mo 0.246 0.479 0.446
H1 H 0.013 0.336 0.908
H2 H 0.024 0.432 0.663
H3 H 0.028 0.089 0.222
H4 H 0.049 0.299 0.833
H5 H 0.062 0.114 0.783
H6 H 0.067 0.204 0.120
H7 H 0.083 0.387 0.190
H8 H 0.133 0.481 0.709
H9 H 0.140 0.195 0.808
H10 H 0.142 0.179 0.170
Cl1 Cl 0.002 0.246 0.008
Cl2 Cl 0.133 0.310 0.367
Cl3 Cl 0.136 0.003 0.943
Cl4 Cl 0.150 0.495 0.541
Cl5 Cl 0.159 0.184 0.620
Cl6 Cl 0.237 0.028 0.284
Cl7 Cl 0.247 0.305 0.885
O1 O 0.000 0.028 0.250
O2 O 0.024 0.375 0.864
O3 O 0.079 0.486 0.202
O4 O 0.085 0.207 0.792
O5 O 0.087 0.203 0.169
# energy of formation = -863.2 meV/atom
# total magnetic moment = 0.02 Bohr magnetons per cell